<i>
{
  "formula": "NaAlSi2O6",
  "functional": "PBE",
  "state": "relaxed",
  "cell": [[4.7819, -4.3335, 0.0000], [4.7819, 4.3335, 0.0000], [-1.6160, 0.0000, 5.0396]],
  "species": ["Na", "Na", "Al", "Al", "Si", "Si", "Si", "Si", "O", "O", "O", "O", "O", "O", "O", "O", "O", "O", "O", "O"],
  "fractional_positions": [[0.2000, 0.8000, 0.7500], [0.8000, 0.2000, 0.2500], [0.4050, 0.5950, 0.2500], [0.5950, 0.4050, 0.7500], [0.1169, 0.3034, 0.7745], [0.3034, 0.1169, 0.2745], [0.6966, 0.8831, 0.7255], [0.8831, 0.6966, 0.2255], [0.1240, 0.5990, 0.2910], [0.1417, 0.1533, 0.9944], [0.1533, 0.1417, 0.4944], [0.3155, 0.4672, 0.8732], [0.4010, 0.8760, 0.2090], [0.4672, 0.3155, 0.3732], [0.5328, 0.6845, 0.6268], [0.5990, 0.1240, 0.7910], [0.6845, 0.5328, 0.1268], [0.8467, 0.8583, 0.5056], [0.8583, 0.8467, 0.0056], [0.8760, 0.4010, 0.7090]],
  "magnetic_moment_mub_per_fu": 0.0,
  "space_group": "C2/c (15)"
}

---

<ii>
{
  "formula": "NaAlSi2O6",
  "functional": "PBE",
  "state": "relaxed",
  "cell": [[9.8154, -6.8228, 0.0000], [9.8154, 6.8228, 0.0000], [-9.7536, 0.0000, 9.8724]],
  "species": ["Na", "Na", "Na", "Na", "Na", "Na", "Na", "Na", "Al", "Al", "Al", "Al", "Al", "Al", "Al", "Al", "Si", "Si", "Si", "Si", "Si", "Si", "Si", "Si", "Si", "Si", "Si", "Si", "Si", "Si", "Si", "Si", "O", "O", "O", "O", "O", "O", "O", "O", "O", "O", "O", "O", "O", "O", "O", "O", "O", "O", "O", "O", "O", "O", "O", "O", "O", "O", "O", "O", "O", "O", "O", "O", "O", "O", "O", "O", "O", "O", "O", "O", "O", "O", "O", "O", "O", "O", "O", "O"],
  "fractional_positions": [[0.1392, 0.6468, 0.8971], [0.2493, 0.2798, 0.6131], [0.2798, 0.2493, 0.1131], [0.3532, 0.8608, 0.6029], [0.6468, 0.1392, 0.3971], [0.7202, 0.7507, 0.8869], [0.7507, 0.7202, 0.3869], [0.8608, 0.3532, 0.1029], [0.0362, 0.2154, 0.2844], [0.2154, 0.0362, 0.7844], [0.2828, 0.4626, 0.0329], [0.4626, 0.2828, 0.5329], [0.5374, 0.7173, 0.4671], [0.7173, 0.5374, 0.9671], [0.7846, 0.9638, 0.2156], [0.9638, 0.7846, 0.7156], [0.0429, 0.2993, 0.7528], [0.0674, 0.7485, 0.5289], [0.2009, 0.4553, 0.4115], [0.2519, 0.5676, 0.2911], [0.2515, 0.9326, 0.9711], [0.2993, 0.0429, 0.2528], [0.4324, 0.7481, 0.2089], [0.4553, 0.2009, 0.9115], [0.5447, 0.7991, 0.0885], [0.5676, 0.2519, 0.7911], [0.7007, 0.9571, 0.7472], [0.7485, 0.0674, 0.0289], [0.7481, 0.4324, 0.7089], [0.7991, 0.5447, 0.5885], [0.9326, 0.2515, 0.4711], [0.9571, 0.7007, 0.2472], [0.0252, 0.2537, 0.4214], [0.0498, 0.2595, 0.6197], [0.0609, 0.3680, 0.3058], [0.1005, 0.1739, 0.7832], [0.1183, 0.6708, 0.2852], [0.1184, 0.8383, 0.8698], [0.1316, 0.4378, 0.8780], [0.1617, 0.8816, 0.6302], [0.1728, 0.6162, 0.5064], [0.1739, 0.1005, 0.2832], [0.2497, 0.4502, 0.3183], [0.2520, 0.4756, 0.1484], [0.2537, 0.0252, 0.9214], [0.2595, 0.0498, 0.1197], [0.3206, 0.3942, 0.5092], [0.3292, 0.8817, 0.2148], [0.3366, 0.6160, 0.0838], [0.3680, 0.0609, 0.8058], [0.3840, 0.6634, 0.4162], [0.3838, 0.8272, 0.9936], [0.3942, 0.3206, 0.0092], [0.4378, 0.1316, 0.3780], [0.4502, 0.2497, 0.8183], [0.4756, 0.2520, 0.6484], [0.5244, 0.7480, 0.3516], [0.5498, 0.7503, 0.1817], [0.5622, 0.8684, 0.6220], [0.6058, 0.6794, 0.9908], [0.6162, 0.1728, 0.0064], [0.6160, 0.3366, 0.5838], [0.6320, 0.9391, 0.1942], [0.6634, 0.3840, 0.9162], [0.6708, 0.1183, 0.7852], [0.6794, 0.6058, 0.4908], [0.7405, 0.9502, 0.8803], [0.7463, 0.9748, 0.0786], [0.7480, 0.5244, 0.8516], [0.7503, 0.5498, 0.6817], [0.8261, 0.8995, 0.7168], [0.8272, 0.3838, 0.4936], [0.8383, 0.1184, 0.3698], [0.8684, 0.5622, 0.1220], [0.8816, 0.1617, 0.1302], [0.8817, 0.3292, 0.7148], [0.8995, 0.8261, 0.2168], [0.9391, 0.6320, 0.6942], [0.9502, 0.7405, 0.3803], [0.9748, 0.7463, 0.5786]],
  "magnetic_moment_mub_per_fu": 0.0,
  "space_group": "C2/c (15)"
}

---

Ranking the structures above by stability puts <ii> first and <i> last.